No. 1
Sr2Ti6N2O11 | PBE | optimized geometry Values from VASP.

Structure (Quantum ESPRESSO input):
```
&SYSTEM
  ibrav = 0, nat = 21, ntyp = 4
/
ATOMIC_SPECIES
Sr 87.62 Sr.upf
Ti 47.87 Ti.upf
N 14.01 N.upf
O 16.00 O.upf
CELL_PARAMETERS angstrom
7.6144 -1.9170 0.0000
7.6144 1.9170 0.0000
-1.2564 0.0000 9.2262
ATOMIC_POSITIONS crystal
Sr 0.0000 0.0000 0.0000
Sr 0.0967 0.0967 0.5496
Ti 0.3111 0.3111 0.0152
Ti 0.3792 0.3792 0.3431
Ti 0.4315 0.4315 0.6888
Ti 0.6629 0.6629 0.8690
Ti 0.7089 0.7089 0.2230
Ti 0.7917 0.7917 0.5570
N 0.5481 0.5481 0.7813
N 0.9030 0.9030 0.6706
O 0.1888 0.1888 0.9008
O 0.2471 0.2471 0.2107
O 0.3000 0.3000 0.5251
O 0.3855 0.3855 0.8810
O 0.4195 0.4195 0.1659
O 0.4767 0.4767 0.4809
O 0.6145 0.6145 0.0767
O 0.6642 0.6642 0.3909
O 0.7085 0.7085 0.6862
O 0.7901 0.7901 0.0287
O 0.8439 0.8439 0.3521
```

energy above the most stable polymorph in this dataset = 0.2 kJ/mol of atoms
symmetry = Cm, No. 8
total magnetic moment = 0.000 μB/cell

***

No. 2
Ho3FeB7 | PBE | optimized geometry Values from VASP.

Structure (Quantum ESPRESSO input):
```
&SYSTEM
  ibrav = 0, nat = 22, ntyp = 3
/
ATOMIC_SPECIES
Ho 164.93 Ho.upf
Fe 55.84 Fe.upf
B 10.81 B.upf
CELL_PARAMETERS angstrom
1.7014 -7.8016 0.0000
1.7014 7.8016 0.0000
0.0000 0.0000 9.2512
ATOMIC_POSITIONS crystal
Ho 0.1049 0.8951 0.5601
Ho 0.1049 0.8951 0.9399
Ho 0.2432 0.7568 0.2500
Ho 0.7568 0.2432 0.7500
Ho 0.8951 0.1049 0.0601
Ho 0.8951 0.1049 0.4399
Fe 0.0542 0.9458 0.2500
Fe 0.9458 0.0542 0.7500
B 0.2725 0.7275 0.5331
B 0.2725 0.7275 0.9669
B 0.3701 0.6299 0.6531
B 0.3701 0.6299 0.8469
B 0.4592 0.5408 0.2500
B 0.4785 0.5215 0.5985
B 0.4785 0.5215 0.9015
B 0.5215 0.4785 0.0985
B 0.5215 0.4785 0.4015
B 0.5408 0.4592 0.7500
B 0.6299 0.3701 0.1531
B 0.6299 0.3701 0.3469
B 0.7275 0.2725 0.0331
B 0.7275 0.2725 0.4669
```

energy = -6.887 eV per atom
symmetry = Cmcm, No. 63
total magnetic moment = 0.001 μB/cell

***

No. 3
Te | PBE | optimized geometry Values from VASP.

Structure (Quantum ESPRESSO input):
```
&SYSTEM
  ibrav = 0, nat = 4, ntyp = 1
/
ATOMIC_SPECIES
Te 127.60 Te.upf
CELL_PARAMETERS angstrom
9.2688 0.0000 0.0000
0.0000 3.1969 0.0000
0.0000 0.0000 4.4282
ATOMIC_POSITIONS crystal
Te 0.0000 0.0000 0.0000
Te 0.2500 0.0000 0.4741
Te 0.5000 0.0000 0.0000
Te 0.7500 0.0000 0.5259
```

energy above the most stable polymorph in this dataset = 4.5 kJ/mol of atoms
symmetry = Pmma, No. 51

***

No. 4
TeAsF5 | PBE | optimized geometry Values from VASP.

Structure (Quantum ESPRESSO input):
```
&SYSTEM
  ibrav = 0, nat = 84, ntyp = 3
/
ATOMIC_SPECIES
Te 127.60 Te.upf
As 74.92 As.upf
F 19.00 F.upf
CELL_PARAMETERS angstrom
7.6728 -6.2825 0.0000
7.6728 6.2825 0.0000
-1.5899 0.0000 15.5868
ATOMIC_POSITIONS crystal
Te 0.1095 0.6186 0.7618
Te 0.1931 0.7112 0.6193
Te 0.2888 0.8069 0.8807
Te 0.3451 0.4792 0.6895
Te 0.3814 0.8905 0.7382
Te 0.4792 0.3451 0.1895
Te 0.5208 0.6549 0.8105
Te 0.6186 0.1095 0.2618
Te 0.6549 0.5208 0.3105
Te 0.7112 0.1931 0.1193
Te 0.8069 0.2888 0.3807
Te 0.8905 0.3814 0.2382
As 0.0599 0.1511 0.6342
As 0.1177 0.6645 0.1088
As 0.1511 0.0599 0.1342
As 0.2920 0.3736 0.4099
As 0.3355 0.8823 0.3912
As 0.3736 0.2920 0.9099
As 0.6264 0.7080 0.0901
As 0.6645 0.1177 0.6088
As 0.7080 0.6264 0.5901
As 0.8489 0.9401 0.8658
As 0.8823 0.3355 0.8912
As 0.9401 0.8489 0.3658
F 0.0148 0.9806 0.8541
F 0.0194 0.9852 0.6459
F 0.0608 0.8275 0.4559
F 0.0709 0.1926 0.0681
F 0.0714 0.5013 0.1130
F 0.0718 0.7726 0.2975
F 0.1017 0.3144 0.6257
F 0.1233 0.1803 0.2260
F 0.1275 0.3306 0.4092
F 0.1725 0.9392 0.0441
F 0.1743 0.6339 0.0027
F 0.1803 0.1233 0.7260
F 0.1926 0.0709 0.5681
F 0.2037 0.3617 0.8686
F 0.2261 0.5439 0.4493
F 0.2274 0.9282 0.2025
F 0.2555 0.4246 0.3020
F 0.2848 0.6076 0.1582
F 0.3144 0.1017 0.1257
F 0.3237 0.3346 0.0157
F 0.3306 0.1275 0.9092
F 0.3346 0.3237 0.5157
F 0.3617 0.2037 0.3686
F 0.3661 0.8257 0.4973
F 0.3924 0.7152 0.3418
F 0.4159 0.4593 0.9065
F 0.4246 0.2555 0.8020
F 0.4561 0.7739 0.0507
F 0.4593 0.4159 0.4065
F 0.4987 0.9286 0.3870
F 0.5013 0.0714 0.6130
F 0.5407 0.5841 0.5935
F 0.5439 0.2261 0.9493
F 0.5754 0.7445 0.1980
F 0.5841 0.5407 0.0935
F 0.6076 0.2848 0.6582
F 0.6339 0.1743 0.5027
F 0.6383 0.7963 0.6314
F 0.6654 0.6763 0.4843
F 0.6694 0.8725 0.0908
F 0.6763 0.6654 0.9843
F 0.6856 0.8983 0.8743
F 0.7152 0.3924 0.8418
F 0.7445 0.5754 0.6980
F 0.7726 0.0718 0.7975
F 0.7739 0.4561 0.5507
F 0.7963 0.6383 0.1314
F 0.8074 0.9291 0.4319
F 0.8197 0.8767 0.2740
F 0.8257 0.3661 0.9973
F 0.8275 0.0608 0.9559
F 0.8725 0.6694 0.5908
F 0.8767 0.8197 0.7740
F 0.8983 0.6856 0.3743
F 0.9282 0.2274 0.7025
F 0.9286 0.4987 0.8870
F 0.9291 0.8074 0.9319
F 0.9392 0.1725 0.5441
F 0.9806 0.0148 0.3541
F 0.9852 0.0194 0.1459
```

energy = -4.335 eV per atom
symmetry = C2/c, No. 15
total magnetic moment = 0.489 μB/cell

***

No. 5
Nb4Si7Ni4 | PBE | optimized geometry Values from VASP.

Structure (Quantum ESPRESSO input):
```
&SYSTEM
  ibrav = 0, nat = 30, ntyp = 3
/
ATOMIC_SPECIES
Nb 92.91 Nb.upf
Si 28.09 Si.upf
Ni 58.69 Ni.upf
CELL_PARAMETERS angstrom
-7.5120 7.5120 2.3050
7.5120 -7.5120 2.3050
7.5120 7.5120 -2.3050
ATOMIC_POSITIONS crystal
Nb 0.0888 0.2172 0.3061
Nb 0.0888 0.7828 0.8716
Nb 0.2172 0.0888 0.3061
Nb 0.2172 0.9112 0.1284
Nb 0.7828 0.0888 0.8716
Nb 0.7828 0.9112 0.6939
Nb 0.9112 0.2172 0.1284
Nb 0.9112 0.7828 0.6939
Si 0.0000 0.3714 0.3714
Si 0.0000 0.6286 0.6286
Si 0.2538 0.2538 0.0000
Si 0.3099 0.5000 0.8099
Si 0.3308 0.3308 0.6616
Si 0.3308 0.6692 0.0000
Si 0.3714 0.0000 0.3714
Si 0.5000 0.3099 0.8099
Si 0.5000 0.6901 0.1901
Si 0.6286 0.0000 0.6286
Si 0.6692 0.3308 0.0000
Si 0.6692 0.6692 0.3384
Si 0.6901 0.5000 0.1901
Si 0.7462 0.7462 0.0000
Ni 0.1178 0.6178 0.2355
Ni 0.1178 0.8822 0.5000
Ni 0.3822 0.6178 0.5000
Ni 0.3822 0.8822 0.7645
Ni 0.6178 0.1178 0.2355
Ni 0.6178 0.3822 0.5000
Ni 0.8822 0.1178 0.5000
Ni 0.8822 0.3822 0.7645
```

energy above the most stable polymorph in this dataset = 85.2 kJ/mol of atoms
symmetry = I4/mmm, No. 139
total magnetic moment = 0.030 μB/cell

***

No. 6
LiSnPd2 | PBE | optimized geometry Values from VASP.

Structure (Quantum ESPRESSO input):
```
&SYSTEM
  ibrav = 0, nat = 4, ntyp = 3
/
ATOMIC_SPECIES
Li 6.94 Li.upf
Sn 118.71 Sn.upf
Pd 106.42 Pd.upf
CELL_PARAMETERS angstrom
0.0000 3.1789 3.1789
3.1789 0.0000 3.1789
3.1789 3.1789 0.0000
ATOMIC_POSITIONS crystal
Li 0.0000 0.0000 0.0000
Sn 0.5000 0.5000 0.5000
Pd 0.2500 0.2500 0.2500
Pd 0.7500 0.7500 0.7500
```

energy = -4.730 eV per atom
symmetry = Fm-3m, No. 225

***

No. 7
Na15Mo7N19 | PBE | optimized geometry Values from VASP.

Structure (Quantum ESPRESSO input):
```
&SYSTEM
  ibrav = 0, nat = 82, ntyp = 3
/
ATOMIC_SPECIES
Na 22.99 Na.upf
Mo 95.94 Mo.upf
N 14.01 N.upf
CELL_PARAMETERS angstrom
6.2409 0.0000 0.0000
-2.5630 11.4649 0.0000
-1.1919 -0.8053 18.7621
ATOMIC_POSITIONS crystal
Na 0.0000 0.0000 0.0000
Na 0.0397 0.1436 0.4944
Na 0.0862 0.4809 0.1335
Na 0.1044 0.5896 0.5847
Na 0.1063 0.8098 0.6970
Na 0.1354 0.7333 0.2040
Na 0.1773 0.3388 0.6658
Na 0.2603 0.5016 0.3058
Na 0.3055 0.2700 0.1060
Na 0.3054 0.3897 0.5049
Na 0.3288 0.5785 0.9797
Na 0.3410 0.0245 0.2035
Na 0.4312 0.1299 0.6629
Na 0.4512 0.3511 0.8625
Na 0.4579 0.8771 0.0508
Na 0.5000 0.0000 0.5000
Na 0.5421 0.1229 0.9492
Na 0.5488 0.6489 0.1375
Na 0.5688 0.8701 0.3371
Na 0.6590 0.9755 0.7965
Na 0.6712 0.4215 0.0203
Na 0.6946 0.6103 0.4951
Na 0.6945 0.7300 0.8940
Na 0.7397 0.4984 0.6942
Na 0.8227 0.6612 0.3342
Na 0.8646 0.2667 0.7960
Na 0.8937 0.1902 0.3030
Na 0.8956 0.4104 0.4153
Na 0.9138 0.5191 0.8665
Na 0.9603 0.8564 0.5056
Mo 0.0392 0.2671 0.9588
Mo 0.0970 0.9582 0.3566
Mo 0.2069 0.0886 0.8067
Mo 0.2609 0.8326 0.8858
Mo 0.2993 0.7174 0.4441
Mo 0.3276 0.5801 0.7769
Mo 0.4126 0.2516 0.3685
Mo 0.5874 0.7484 0.6315
Mo 0.6724 0.4199 0.2231
Mo 0.7007 0.2826 0.5559
Mo 0.7391 0.1674 0.1142
Mo 0.7931 0.9114 0.1933
Mo 0.9030 0.0418 0.6434
Mo 0.9608 0.7329 0.0412
N 0.0335 0.6177 0.4458
N 0.0376 0.1320 0.7265
N 0.0741 0.8244 0.9618
N 0.1006 0.4545 0.7624
N 0.1138 0.0058 0.5927
N 0.1236 0.1609 0.8880
N 0.1635 0.9229 0.8108
N 0.1760 0.6673 0.0795
N 0.1898 0.3229 0.3777
N 0.2535 0.6792 0.8538
N 0.2565 0.8696 0.4131
N 0.2806 0.3752 0.9907
N 0.2971 0.0949 0.3294
N 0.3750 0.6653 0.6889
N 0.4245 0.4636 0.1924
N 0.4457 0.7445 0.5388
N 0.4636 0.0950 0.0825
N 0.4779 0.6618 0.3862
N 0.4901 0.1484 0.7954
N 0.5099 0.8516 0.2046
N 0.5221 0.3382 0.6138
N 0.5364 0.9050 0.9175
N 0.5543 0.2555 0.4612
N 0.5755 0.5364 0.8076
N 0.6250 0.3347 0.3111
N 0.7029 0.9051 0.6706
N 0.7194 0.6248 0.0093
N 0.7435 0.1304 0.5869
N 0.7465 0.3208 0.1462
N 0.8102 0.6771 0.6223
N 0.8240 0.3327 0.9205
N 0.8365 0.0771 0.1892
N 0.8764 0.8391 0.1120
N 0.8862 0.9942 0.4073
N 0.8994 0.5455 0.2376
N 0.9259 0.1756 0.0382
N 0.9624 0.8680 0.2735
N 0.9665 0.3823 0.5542
```

energy = -6.576 eV per atom
symmetry = P-1, No. 2
total magnetic moment = 0.000 μB/cell

***

No. 8
Fe2Te3 | PBE | optimized geometry Values from VASP.

Structure (Quantum ESPRESSO input):
```
&SYSTEM
  ibrav = 0, nat = 10, ntyp = 2
/
ATOMIC_SPECIES
Fe 55.84 Fe.upf
Te 127.60 Te.upf
CELL_PARAMETERS angstrom
3.2202 1.8592 5.0051
-3.2202 1.8592 5.0051
0.0000 -3.7184 5.0051
ATOMIC_POSITIONS crystal
Fe 0.1582 0.1582 0.1582
Fe 0.3418 0.3418 0.3418
Fe 0.6582 0.6582 0.6582
Fe 0.8418 0.8418 0.8418
Te 0.0823 0.7500 0.4177
Te 0.2500 0.5823 0.9177
Te 0.4177 0.0823 0.7500
Te 0.5823 0.9177 0.2500
Te 0.7500 0.4177 0.0823
Te 0.9177 0.2500 0.5823
```

energy = -5.226 eV per atom
symmetry = R-3c, No. 167
total magnetic moment = 0.000 μB/cell